Record 1
Compound: Sn3H6CNO7
Source: the Materials Project database
Functional: PBE
Structure: relaxed

```
data_Sn3H6CNO7
_cell_length_a 11.470
_cell_length_b 6.423
_cell_length_c 15.049
_cell_angle_alpha 90.00
_cell_angle_beta 122.05
_cell_angle_gamma 90.00
_symmetry_space_group_name_H-M 'P 1 21/c 1'
_symmetry_Int_Tables_number 14
_symmetry_space_group_name_Hall '-P 2ybc'
loop_
_atom_site_label
_atom_site_fract_x
_atom_site_fract_y
_atom_site_fract_z
Sn1 0.092 0.037 0.322
Sn2 0.096 0.204 0.078
Sn3 0.185 0.732 0.190
H1 0.339 0.621 0.539
H2 0.391 0.514 0.084
H3 0.437 0.659 0.191
H4 0.443 0.064 0.333
H5 0.459 0.718 0.507
H6 0.483 0.061 0.878
C1 0.444 0.681 0.571
N1 0.460 0.628 0.132
O1 0.044 0.018 0.625
O2 0.072 0.735 0.269
O3 0.100 0.638 0.541
O4 0.160 0.059 0.217
O5 0.253 0.180 0.581
O6 0.264 0.126 0.443
O7 0.378 0.708 0.269
```

Calculated values
DFT total energy: -393.042 eV/cell
E_form: -1.027 eV per atom

---

Record 2
Compound: TbH9C5N2O8
Source: the Materials Project database
Functional: PBE
Structure: relaxed

```
data_TbH9C5N2O8
_cell_length_a 11.321
_cell_length_b 7.311
_cell_length_c 6.680
_cell_angle_alpha 90.00
_cell_angle_beta 107.42
_cell_angle_gamma 90.00
_symmetry_space_group_name_H-M 'C 1 2 1'
_symmetry_Int_Tables_number 5
_symmetry_space_group_name_Hall 'C 2y'
loop_
_atom_site_label
_atom_site_fract_x
_atom_site_fract_y
_atom_site_fract_z
Tb1 0.000 0.000 0.000
H1 0.000 0.081 0.500
H2 0.012 0.451 0.182
H3 0.126 0.608 0.460
H4 0.188 0.643 0.880
H5 0.221 0.422 0.579
C1 0.000 0.931 0.500
C2 0.088 0.375 0.294
C3 0.236 0.704 0.036
N1 0.151 0.475 0.456
O1 0.005 0.849 0.334
O2 0.108 0.211 0.263
O3 0.152 0.162 0.878
O4 0.174 0.813 0.114
```

Calculated values
DFT total energy: -325.488 eV/cell
E_form: -1.227 eV per atom

---

Record 3
Compound: ThH28C12N12O18
Source: the Materials Project database
Functional: PBE
Structure: relaxed

```
data_ThH28C12N12O18
_cell_length_a 19.877
_cell_length_b 12.282
_cell_length_c 13.224
_cell_angle_alpha 90.00
_cell_angle_beta 118.64
_cell_angle_gamma 90.00
_symmetry_space_group_name_H-M 'C 1 2/c 1'
_symmetry_Int_Tables_number 15
_symmetry_space_group_name_Hall '-C 2yc'
loop_
_atom_site_label
_atom_site_fract_x
_atom_site_fract_y
_atom_site_fract_z
Th1 0.000 0.051 0.250
H1 0.021 0.433 0.143
H2 0.025 0.439 0.866
H3 0.060 0.283 0.448
H4 0.146 0.477 0.726
H5 0.148 0.411 0.002
H6 0.158 0.306 0.545
H7 0.161 0.121 0.758
H8 0.161 0.129 0.990
H9 0.164 0.335 0.756
H10 0.186 0.062 0.531
H11 0.209 0.478 0.570
H12 0.226 0.398 0.352
H13 0.228 0.177 0.747
H14 0.230 0.220 0.088
C1 0.037 0.214 0.810
C2 0.039 0.030 0.533
C3 0.095 0.441 0.468
C4 0.102 0.263 0.228
C5 0.165 0.187 0.317
C6 0.245 0.438 0.869
N1 0.027 0.482 0.393
N2 0.104 0.335 0.494
N3 0.155 0.492 0.020
N4 0.179 0.415 0.775
N5 0.210 0.143 0.066
N6 0.235 0.042 0.605
O1 0.034 0.220 0.178
O2 0.064 0.302 0.862
O3 0.066 0.071 0.473
O4 0.066 0.119 0.846
O5 0.069 0.032 0.642
O6 0.118 0.358 0.213
O7 0.140 0.102 0.344
O8 0.203 0.175 0.794
O9 0.234 0.214 0.355
```

Calculated values
DFT total energy: -1839.887 eV/cell
E_form: -0.987 eV per atom

---

Record 4
Compound: TmH9C5N2O8
Source: the Materials Project database
Functional: PBE
Structure: relaxed

```
data_TmH9C5N2O8
_cell_length_a 11.188
_cell_length_b 7.282
_cell_length_c 6.629
_cell_angle_alpha 90.00
_cell_angle_beta 107.60
_cell_angle_gamma 90.00
_symmetry_space_group_name_H-M 'C 1 2 1'
_symmetry_Int_Tables_number 5
_symmetry_space_group_name_Hall 'C 2y'
loop_
_atom_site_label
_atom_site_fract_x
_atom_site_fract_y
_atom_site_fract_z
Tm1 0.000 0.000 0.000
H1 0.000 0.085 0.500
H2 0.007 0.446 0.184
H3 0.128 0.603 0.464
H4 0.188 0.655 0.872
H5 0.225 0.415 0.577
C1 0.000 0.933 0.500
C2 0.086 0.371 0.293
C3 0.235 0.709 0.032
N1 0.153 0.469 0.456
O1 0.003 0.852 0.332
O2 0.107 0.206 0.258
O3 0.153 0.161 0.877
O4 0.172 0.816 0.114
```

Calculated values
DFT total energy: -325.201 eV/cell
E_form: -1.227 eV per atom

---

Record 5
Compound: TmH9C5N2O8
Source: the Materials Project database
Functional: PBE
Structure: relaxed

```
data_TmH9C5N2O8
_cell_length_a 6.715
_cell_length_b 18.263
_cell_length_c 8.531
_cell_angle_alpha 90.00
_cell_angle_beta 90.00
_cell_angle_gamma 90.00
_symmetry_space_group_name_H-M 'C 2 2 21'
_symmetry_Int_Tables_number 20
_symmetry_space_group_name_Hall 'C 2c 2'
loop_
_atom_site_label
_atom_site_fract_x
_atom_site_fract_y
_atom_site_fract_z
Tm1 0.000 0.142 0.250
H1 0.000 0.313 0.750
H2 0.000 0.345 0.250
H3 0.153 0.494 0.171
H4 0.213 0.290 0.441
H5 0.234 0.000 0.000
H6 0.236 0.407 0.102
C1 0.000 0.374 0.750
C2 0.000 0.405 0.250
C3 0.070 0.000 0.000
C4 0.238 0.244 0.524
N1 0.137 0.438 0.166
O1 0.020 0.050 0.425
O2 0.166 0.406 0.735
O3 0.173 0.241 0.152
O4 0.176 0.181 0.485
```

Calculated values
DFT total energy: -651.384 eV/cell
E_form: -1.237 eV per atom